The following is a PBE calculation of La3InCoS7 after structural relaxation, from Materials Project.

The structure in POSCAR format:
```
La3InCoS7
1.0
5.073 -8.787 0.000
5.073 8.787 0.000
0.000 0.000 6.258
La In Co S
6 2 2 14
direct
0.149 0.371 0.804 La
0.221 0.851 0.804 La
0.629 0.779 0.804 La
0.851 0.629 0.304 La
0.779 0.149 0.304 La
0.371 0.221 0.304 La
0.667 0.333 0.877 In
0.333 0.667 0.377 In
0.000 0.000 0.495 Co
0.000 0.000 0.995 Co
0.872 0.089 0.735 S
0.217 0.128 0.735 S
0.911 0.783 0.735 S
0.128 0.911 0.235 S
0.783 0.872 0.235 S
0.089 0.217 0.235 S
0.433 0.513 0.543 S
0.079 0.567 0.543 S
0.487 0.921 0.543 S
0.567 0.487 0.043 S
0.921 0.433 0.043 S
0.513 0.079 0.043 S
0.667 0.333 0.491 S
0.333 0.667 0.991 S
```

Output
magnetization	2.00	μB per cell
E	-143.2	eV/cell
SG	P6_3, No. 173
ΔE_f	-1.793	eV per atom

***

The following is a PBE calculation of Lu14In3Co3 after structural relaxation, from Materials Project.

The structure in POSCAR format:
```
Lu14In3Co3
1.0
-8.446 3.174 2.415
-3.818 -4.799 -7.045
-2.812 -17.934 13.740
Lu In Co
56 12 12
direct
0.316 0.816 0.355 Lu
0.316 0.816 0.855 Lu
0.310 0.690 0.500 Lu
0.184 0.684 0.145 Lu
0.184 0.684 0.645 Lu
0.316 0.184 0.855 Lu
0.500 0.500 0.604 Lu
0.500 0.309 0.734 Lu
0.810 0.810 0.000 Lu
0.810 0.190 0.000 Lu
0.684 0.816 0.855 Lu
0.816 0.684 0.645 Lu
0.191 0.000 0.234 Lu
0.000 0.311 0.281 Lu
0.000 0.500 0.537 Lu
0.190 0.190 0.000 Lu
0.000 0.500 0.037 Lu
0.190 0.810 0.000 Lu
0.000 0.809 0.766 Lu
0.000 0.000 0.104 Lu
0.184 0.316 0.145 Lu
0.000 0.191 0.766 Lu
0.684 0.816 0.355 Lu
0.699 0.500 0.947 Lu
0.816 0.316 0.145 Lu
0.184 0.316 0.645 Lu
0.684 0.184 0.855 Lu
0.316 0.184 0.355 Lu
0.310 0.310 0.500 Lu
0.689 0.000 0.719 Lu
0.816 0.316 0.645 Lu
0.691 0.500 0.266 Lu
0.500 0.189 0.219 Lu
0.301 0.500 0.947 Lu
0.189 0.500 0.781 Lu
0.000 0.689 0.281 Lu
0.500 0.000 0.463 Lu
0.690 0.310 0.500 Lu
0.000 0.801 0.447 Lu
0.199 0.000 0.553 Lu
0.500 0.699 0.053 Lu
0.500 0.811 0.219 Lu
0.000 0.199 0.447 Lu
0.000 0.000 0.896 Lu
0.500 0.691 0.734 Lu
0.801 0.000 0.553 Lu
0.500 0.500 0.396 Lu
0.811 0.500 0.781 Lu
0.500 0.301 0.053 Lu
0.684 0.184 0.355 Lu
0.309 0.500 0.266 Lu
0.809 0.000 0.234 Lu
0.690 0.690 0.500 Lu
0.500 0.000 0.963 Lu
0.311 0.000 0.719 Lu
0.816 0.684 0.145 Lu
0.000 0.000 0.657 In
0.500 0.500 0.843 In
0.500 0.500 0.157 In
0.500 0.840 0.605 In
0.160 0.500 0.395 In
0.660 0.000 0.105 In
0.000 0.000 0.343 In
0.340 0.000 0.105 In
0.500 0.160 0.605 In
0.000 0.340 0.895 In
0.840 0.500 0.395 In
0.000 0.660 0.895 In
0.000 0.219 0.562 Co
0.500 0.000 0.801 Co
0.281 0.500 0.062 Co
0.500 0.281 0.938 Co
0.000 0.781 0.562 Co
0.719 0.500 0.062 Co
0.500 0.000 0.301 Co
0.500 0.719 0.938 Co
0.781 0.000 0.438 Co
0.000 0.500 0.199 Co
0.219 0.000 0.438 Co
0.000 0.500 0.699 Co
```

Output
magnetization	0.08	μB per cell
E	-397.2	eV/cell
SG	P4_2/nmc, No. 137
ΔE_f	-0.321	eV per atom

***

The following is a PBE calculation of LuInCo4 after structural relaxation, from Materials Project.

The structure in POSCAR format:
```
LuInCo4
1.0
-4.169 -0.977 -2.503
-3.707 3.295 -0.025
-1.053 2.517 -4.142
Lu In Co
1 1 4
direct
0.250 0.250 0.250 Lu
0.000 0.000 0.000 In
0.625 0.625 0.625 Co
0.625 0.625 0.124 Co
0.625 0.124 0.625 Co
0.124 0.625 0.625 Co
```

Output
magnetization	4.57	μB per cell
E	-36.8	eV/cell
SG	F-43m, No. 216
ΔE_f	-0.179	eV per atom